! RbNdP4O12, optimized geometry, DFT GGA-PBE; values from VASP
! E above lowest polymorph = 0 meV per atom
! ΔE_f = -52.6 eV per formula unit
&SYSTEM
  ibrav = 0, nat = 108, ntyp = 4
/
ATOMIC_SPECIES
O 16.00 O.upf
Nd 144.24 Nd.upf
Rb 85.47 Rb.upf
P 30.97 P.upf
CELL_PARAMETERS angstrom
-10.2258 1.1534 8.3705
10.2059 -5.7192 6.2525
3.5879 7.4730 10.3622
ATOMIC_POSITIONS crystal
O 0.7737 0.4069 0.2922
O 0.2900 0.1978 0.4362
O 0.5284 0.9897 0.8124
O 0.2099 0.2731 0.5926
O 0.2361 0.1083 0.3068
O 0.6605 0.9732 0.5404
O 0.3007 0.8665 0.4071
O 0.3657 0.5924 0.1975
O 0.3402 0.3116 0.6985
O 0.7263 0.9363 0.8658
O 0.3720 0.9570 0.7362
O 0.6342 0.2240 0.0635
O 0.0282 0.6876 0.5101
O 0.5429 0.8067 0.0850
O 0.4138 0.0430 0.1937
O 0.0851 0.3918 0.8720
O 0.1986 0.0389 0.9893
O 0.8665 0.3007 0.9071
O 0.7634 0.8712 0.0430
O 0.1978 0.2900 0.9362
O 0.4069 0.7737 0.7922
O 0.6937 0.6080 0.7629
O 0.3116 0.3402 0.1985
O 0.0430 0.4138 0.6937
O 0.0652 0.7922 0.8013
O 0.3918 0.0851 0.3720
O 0.8402 0.8014 0.1878
O 0.0928 0.8027 0.1342
O 0.9150 0.3069 0.4570
O 0.6080 0.6937 0.2629
O 0.9897 0.5284 0.3124
O 0.9107 0.7125 0.7234
O 0.8067 0.5429 0.5850
O 0.5635 0.6977 0.7126
O 0.0130 0.5400 0.7997
O 0.8129 0.2997 0.1600
O 0.8921 0.1285 0.4145
O 0.6977 0.5635 0.2126
O 0.2240 0.6342 0.5635
O 0.2997 0.8129 0.6600
O 0.6982 0.5100 0.4616
O 0.0389 0.1986 0.4893
O 0.1591 0.9616 0.5283
O 0.3069 0.9150 0.9570
O 0.8027 0.0928 0.6342
O 0.9363 0.7263 0.3658
O 0.1285 0.8921 0.9145
O 0.4362 0.1339 0.7737
O 0.1934 0.7363 0.8921
O 0.7125 0.9107 0.2234
O 0.1339 0.4362 0.2737
O 0.6876 0.0282 0.0101
O 0.8712 0.7634 0.5430
O 0.5400 0.0130 0.2997
O 0.8014 0.8402 0.6878
O 0.7363 0.1934 0.3921
O 0.9732 0.6605 0.0404
O 0.4566 0.2633 0.1283
O 0.9570 0.3720 0.2362
O 0.4719 0.4612 0.8398
O 0.4612 0.4719 0.3398
O 0.7922 0.0652 0.3013
O 0.9616 0.1591 0.0283
O 0.1083 0.2361 0.8068
O 0.1878 0.4887 0.4722
O 0.5850 0.6282 0.1085
O 0.5100 0.6982 0.9616
O 0.2731 0.2099 0.0926
O 0.6282 0.5850 0.6085
O 0.5924 0.3657 0.6975
O 0.4887 0.1878 0.9722
O 0.2633 0.4566 0.6283
Nd 0.7476 0.1250 0.1274
Nd 0.8731 0.6241 0.2477
Nd 0.1250 0.7476 0.6274
Nd 0.3760 0.2511 0.8749
Nd 0.2511 0.3760 0.3749
Nd 0.6241 0.8731 0.7477
Rb 0.2784 0.5009 0.9985
Rb 0.2229 0.7225 0.2786
Rb 0.9992 0.9983 0.7231
Rb 0.7225 0.2229 0.7786
Rb 0.5009 0.2784 0.4985
Rb 0.9983 0.9992 0.2231
P 0.7369 0.8241 0.1849
P 0.4139 0.9910 0.3245
P 0.5086 0.1837 0.0787
P 0.5787 0.5871 0.7374
P 0.8156 0.3241 0.2614
P 0.8241 0.7369 0.6849
P 0.9135 0.1755 0.5074
P 0.7609 0.0776 0.4138
P 0.0860 0.2626 0.9215
P 0.9910 0.4139 0.8245
P 0.5871 0.5787 0.2374
P 0.3241 0.8156 0.7614
P 0.2378 0.3169 0.6757
P 0.9214 0.6842 0.4921
P 0.4214 0.0075 0.8160
P 0.1755 0.9135 0.0074
P 0.1837 0.5086 0.5787
P 0.4926 0.6757 0.0865
P 0.6757 0.4926 0.5865
P 0.0075 0.4214 0.3160
P 0.2626 0.0860 0.4215
P 0.6842 0.9214 0.9921
P 0.3169 0.2378 0.1757
P 0.0776 0.7609 0.9138